This record from the Materials Project describes an optimized crystal structure of Li2BiB5O10. The functional is PBE.

Energy with MP2020 corrections, eV per formula unit: -137.6
V, Å³/atom: 12.0
SG: P2_1/c

Unit cell a=7.261 b=16.420 c=7.259 alpha=90.00 beta=92.63 gamma=90.00
Atoms (fractional coordinates):
Li 0.089 0.159 0.015
Li 0.089 0.341 0.515
Li 0.307 0.586 0.109
Li 0.307 0.914 0.609
Li 0.693 0.086 0.391
Li 0.693 0.414 0.891
Li 0.911 0.659 0.485
Li 0.911 0.841 0.985
Bi 0.169 0.125 0.523
Bi 0.169 0.375 0.023
Bi 0.831 0.625 0.977
Bi 0.831 0.875 0.477
B 0.197 0.021 0.922
B 0.197 0.479 0.422
B 0.230 0.732 0.014
B 0.230 0.768 0.514
B 0.259 0.521 0.744
B 0.259 0.979 0.244
B 0.311 0.621 0.493
B 0.311 0.879 0.993
B 0.451 0.226 0.022
B 0.451 0.274 0.522
B 0.549 0.726 0.478
B 0.549 0.774 0.978
B 0.689 0.121 0.007
B 0.689 0.379 0.507
B 0.741 0.021 0.756
B 0.741 0.479 0.256
B 0.770 0.232 0.486
B 0.770 0.268 0.986
B 0.803 0.521 0.578
B 0.803 0.979 0.078
O 0.116 0.666 0.040
O 0.116 0.834 0.540
O 0.142 0.085 0.810
O 0.142 0.415 0.310
O 0.170 0.690 0.479
O 0.170 0.810 0.979
O 0.188 0.037 0.112
O 0.188 0.463 0.612
O 0.252 0.554 0.362
O 0.252 0.946 0.862
O 0.266 0.502 0.927
O 0.266 0.998 0.427
O 0.269 0.245 0.033
O 0.269 0.255 0.533
O 0.322 0.594 0.683
O 0.322 0.906 0.183
O 0.421 0.714 0.030
O 0.421 0.786 0.530
O 0.489 0.649 0.437
O 0.489 0.851 0.937
O 0.511 0.149 0.063
O 0.511 0.351 0.563
O 0.579 0.214 0.470
O 0.579 0.286 0.970
O 0.678 0.094 0.817
O 0.678 0.406 0.317
O 0.731 0.745 0.467
O 0.731 0.755 0.967
O 0.734 0.002 0.573
O 0.734 0.498 0.073
O 0.748 0.054 0.138
O 0.748 0.446 0.638
O 0.812 0.537 0.388
O 0.812 0.963 0.888
O 0.830 0.190 0.021
O 0.830 0.310 0.521
O 0.858 0.585 0.690
O 0.858 0.915 0.190
O 0.884 0.166 0.460
O 0.884 0.334 0.960